(1)
An optimized crystal structure of Na3Nb6Bi5O24. Source: Materials Project, functional PBE.

Computed properties:
Spin magnetization in μB/f.u.: 0.00

Cell lengths 5.559, 5.611, 16.848 Å; angles 80.49, 89.96, 89.65 degrees
Space group P1 (No. 1)
Unique sites:
Na 0.000 0.000 0.000 [1 per cell]
Na 0.014 0.135 0.745 [1 per cell]
Na 0.499 0.632 0.745 [1 per cell]
Nb 0.001 0.572 0.873 [1 per cell]
Nb 0.003 0.457 0.126 [1 per cell]
Nb 0.005 0.704 0.629 [1 per cell]
Nb 0.497 0.947 0.127 [1 per cell]
Nb 0.504 0.204 0.629 [1 per cell]
Nb 0.511 0.064 0.872 [1 per cell]
Bi 0.042 0.304 0.455 [1 per cell]
Bi 0.470 0.802 0.456 [1 per cell]
Bi 0.495 0.459 0.003 [1 per cell]
Bi 0.540 0.377 0.304 [1 per cell]
Bi 0.972 0.879 0.304 [1 per cell]
O 0.083 0.776 0.518 [1 per cell]
O 0.089 0.543 0.999 [1 per cell]
O 0.205 0.772 0.136 [1 per cell]
O 0.231 0.439 0.658 [1 per cell]
O 0.251 0.337 0.862 [1 per cell]
O 0.257 0.095 0.376 [1 per cell]
O 0.258 0.594 0.377 [1 per cell]
O 0.267 0.833 0.862 [1 per cell]
O 0.285 0.940 0.657 [1 per cell]
O 0.312 0.282 0.132 [1 per cell]
O 0.428 0.067 0.001 [1 per cell]
O 0.430 0.276 0.518 [1 per cell]
O 0.586 0.156 0.762 [1 per cell]
O 0.592 0.919 0.236 [1 per cell]
O 0.715 0.705 0.097 [1 per cell]
O 0.721 0.516 0.624 [1 per cell]
O 0.755 0.322 0.902 [1 per cell]
O 0.755 0.818 0.904 [1 per cell]
O 0.756 0.093 0.382 [1 per cell]
O 0.757 0.593 0.381 [1 per cell]
O 0.788 0.216 0.096 [1 per cell]
O 0.794 0.016 0.624 [1 per cell]
O 0.927 0.411 0.237 [1 per cell]
O 0.932 0.662 0.762 [1 per cell]

=====

(2)
An optimized crystal structure of NaNb4Bi5O18. Source: Materials Project, functional PBE.

Cell lengths 5.544, 25.197, 5.604 Å; angles 90.00, 90.40, 90.00 degrees
Space group Cm (No. 8)
Unique sites:
Na 0.000 0.000 0.000 [2 per cell]
Nb 0.001 0.416 0.977 [4 per cell]
Nb 0.007 0.084 0.471 [4 per cell]
Bi 0.040 0.300 0.523 [4 per cell]
Bi 0.479 0.300 0.023 [4 per cell]
Bi 0.493 0.000 0.522 [2 per cell]
O 0.082 0.343 0.942 [4 per cell]
O 0.092 0.000 0.430 [2 per cell]
O 0.210 0.089 0.148 [4 per cell]
O 0.218 0.434 0.234 [4 per cell]
O 0.249 0.249 0.248 [4 per cell]
O 0.270 0.248 0.748 [4 per cell]
O 0.298 0.435 0.728 [4 per cell]
O 0.318 0.086 0.641 [4 per cell]
O 0.439 0.000 0.916 [2 per cell]
O 0.439 0.343 0.447 [4 per cell]

=====

(3)
An optimized crystal structure of Na3BiO3. Source: Materials Project, functional PBE.

Computed properties:
Spin magnetization in μB/f.u.: 0.00
Relative energy among the computed polymorphs in eV per atom: 0.037

Cell lengths 10.341, 10.354, 11.338 Å; angles 71.40, 66.55, 89.07 degrees
Space group P-1 (No. 2)
Unique sites:
Na 0.011 0.420 0.414 [2 per cell]
Na 0.013 0.828 0.342 [2 per cell]
Na 0.065 0.203 0.274 [2 per cell]
Na 0.072 0.909 0.884 [2 per cell]
Na 0.110 0.653 0.141 [2 per cell]
Na 0.148 0.423 0.028 [2 per cell]
Na 0.222 0.963 0.055 [2 per cell]
Na 0.228 0.005 0.442 [2 per cell]
Na 0.364 0.170 0.085 [2 per cell]
Na 0.375 0.019 0.608 [2 per cell]
Na 0.394 0.849 0.840 [2 per cell]
Na 0.400 0.590 0.013 [2 per cell]
Bi 0.210 0.230 0.821 [2 per cell]
Bi 0.234 0.666 0.717 [2 per cell]
Bi 0.336 0.765 0.265 [2 per cell]
Bi 0.347 0.323 0.346 [2 per cell]
O 0.004 0.151 0.864 [2 per cell]
O 0.029 0.566 0.779 [2 per cell]
O 0.139 0.221 0.438 [2 per cell]
O 0.143 0.634 0.349 [2 per cell]
O 0.169 0.202 0.026 [2 per cell]
O 0.175 0.865 0.666 [2 per cell]
O 0.236 0.649 0.908 [2 per cell]
O 0.242 0.949 0.258 [2 per cell]
O 0.294 0.046 0.818 [2 per cell]
O 0.366 0.363 0.146 [2 per cell]
O 0.386 0.792 0.059 [2 per cell]
O 0.445 0.139 0.376 [2 per cell]

=====

(4)
An optimized crystal structure of Na4Bi2O5. Source: Materials Project, functional PBE.

Computed properties:
Relative energy among the computed polymorphs in eV per atom: 0.000

Cell lengths 5.147, 8.901, 9.067 Å; angles 66.80, 74.21, 73.31 degrees
Space group P-1 (No. 2)
Unique sites:
Na 0.084 0.296 0.050 [2 per cell]
Na 0.090 0.799 0.539 [2 per cell]
Na 0.246 0.880 0.128 [2 per cell]
Na 0.414 0.495 0.174 [2 per cell]
Bi 0.233 0.378 0.632 [2 per cell]
Bi 0.417 0.940 0.735 [2 per cell]
O 0.120 0.528 0.775 [2 per cell]
O 0.170 0.045 0.296 [2 per cell]
O 0.178 0.622 0.380 [2 per cell]
O 0.247 0.122 0.856 [2 per cell]
O 0.414 0.725 0.940 [2 per cell]

=====

(5)
An optimized crystal structure of Na2BiO3. Source: Materials Project, functional PBE.

Computed properties:
Spin magnetization in μB/f.u.: 0.00

Cell lengths 4.837, 10.036, 6.774 Å; angles 90.00, 90.18, 90.00 degrees
Space group P2_1/c (No. 14)
Unique sites:
Na 0.244 0.245 0.388 [4 per cell]
Na 0.249 0.581 0.874 [4 per cell]
Bi 0.259 0.590 0.360 [4 per cell]
O 0.249 0.065 0.656 [4 per cell]
O 0.253 0.748 0.120 [4 per cell]
O 0.260 0.071 0.107 [4 per cell]

=====

(6)
An optimized crystal structure of Na2BiO3. Source: Materials Project, functional PBE.

Cell lengths 5.969, 10.315, 11.330 Å; angles 90.00, 99.55, 90.00 degrees
Space group C2/c (No. 15)
Unique sites:
Na 0.000 0.084 0.250 [4 per cell]
Na 0.237 0.084 0.001 [8 per cell]
Na 0.250 0.250 0.500 [4 per cell]
Bi 0.000 0.250 0.750 [4 per cell]
Bi 0.000 0.417 0.250 [4 per cell]
O 0.103 0.402 0.637 [8 per cell]
O 0.122 0.102 0.638 [8 per cell]
O 0.165 0.256 0.141 [8 per cell]

=====

Number 1: ΔE_f -243 kJ per mole of atoms, total energy -282.06 eV/cell. Number 2: ΔE_f -234 kJ per mole of atoms, total energy -411.53 eV/cell. Number 3: ΔE_f -162 kJ per mole of atoms, total energy -259.38 eV/cell. Number 4: ΔE_f -165 kJ per mole of atoms, total energy -106.29 eV/cell. Number 5: ΔE_f -160 kJ per mole of atoms, total energy -117.12 eV/cell. Number 6: ΔE_f -167 kJ per mole of atoms, total energy -237.62 eV/cell.